1.
{
  "formula": "Mg3Al8FeSi6",
  "functional": "PBE",
  "state": "relaxed",
  "cell": [[6.733, 0.000, 0.000], [-3.367, 5.831, 0.000], [0.000, 0.000, 7.687]],
  "species": ["Mg", "Mg", "Mg", "Al", "Al", "Al", "Al", "Al", "Al", "Al", "Al", "Fe", "Si", "Si", "Si", "Si", "Si", "Si"],
  "frac_coords": [[0.000, 0.430, 0.000], [0.430, 0.000, 0.000], [0.570, 0.570, 0.000], [0.000, 0.000, 0.000], [0.000, 0.358, 0.500], [0.333, 0.667, 0.286], [0.333, 0.667, 0.714], [0.358, 0.000, 0.500], [0.642, 0.642, 0.500], [0.667, 0.333, 0.286], [0.667, 0.333, 0.714], [0.000, 0.000, 0.500], [0.000, 0.758, 0.267], [0.000, 0.758, 0.733], [0.242, 0.242, 0.267], [0.242, 0.242, 0.733], [0.758, 0.000, 0.267], [0.758, 0.000, 0.733]],
  "total_energy_ev_per_atom": -4.19,
  "delta_e_f_ev_per_fu": 0.74
}

---

2.
{
  "formula": "Cs2NaBiCl6",
  "functional": "PBE",
  "state": "relaxed",
  "cell": [[0.000, 5.530, 5.530], [5.530, 0.000, 5.530], [5.530, 5.530, 0.000]],
  "species": ["Cs", "Cs", "Na", "Bi", "Cl", "Cl", "Cl", "Cl", "Cl", "Cl"],
  "frac_coords": [[0.250, 0.250, 0.250], [0.750, 0.750, 0.750], [0.000, 0.000, 0.000], [0.500, 0.500, 0.500], [0.254, 0.254, 0.746], [0.254, 0.746, 0.254], [0.254, 0.746, 0.746], [0.746, 0.254, 0.254], [0.746, 0.254, 0.746], [0.746, 0.746, 0.254]],
  "total_energy_ev_per_atom": -3.42,
  "delta_e_f_ev_per_fu": -19.75
}

---

3.
{
  "formula": "BaSr2Y6O12",
  "functional": "PBE",
  "state": "relaxed",
  "cell": [[10.416, 0.000, 0.000], [-5.208, 9.021, 0.000], [0.000, 0.000, 3.466]],
  "species": ["Ba", "Sr", "Sr", "Y", "Y", "Y", "Y", "Y", "Y", "O", "O", "O", "O", "O", "O", "O", "O", "O", "O", "O", "O"],
  "frac_coords": [[0.000, 0.000, 0.000], [0.333, 0.667, 0.500], [0.667, 0.333, 0.000], [0.001, 0.349, 0.000], [0.346, 0.345, 0.500], [0.348, 0.999, 0.000], [0.651, 0.652, 0.000], [0.655, 0.001, 0.500], [0.999, 0.654, 0.500], [0.104, 0.289, 0.500], [0.128, 0.605, 0.000], [0.185, 0.896, 0.500], [0.302, 0.191, 0.000], [0.395, 0.523, 0.000], [0.477, 0.872, 0.000], [0.523, 0.126, 0.500], [0.603, 0.477, 0.500], [0.711, 0.815, 0.500], [0.809, 0.111, 0.000], [0.874, 0.397, 0.500], [0.889, 0.698, 0.000]],
  "total_energy_ev_per_atom": -8.21,
  "delta_e_f_ev_per_fu": -77.23
}

---

4.
{
  "formula": "U3H2O10",
  "functional": "PBE",
  "state": "relaxed",
  "cell": [[5.563, 0.000, 0.000], [1.676, 5.656, 0.000], [2.342, 1.501, 6.996]],
  "species": ["U", "U", "U", "H", "H", "O", "O", "O", "O", "O", "O", "O", "O", "O", "O"],
  "frac_coords": [[0.000, 0.000, 0.000], [0.449, 0.560, 0.249], [0.551, 0.440, 0.751], [0.113, 0.687, 0.594], [0.887, 0.313, 0.406], [0.100, 0.922, 0.231], [0.207, 0.373, 0.345], [0.303, 0.688, 0.959], [0.304, 0.673, 0.549], [0.308, 0.239, 0.855], [0.692, 0.761, 0.145], [0.696, 0.327, 0.451], [0.697, 0.312, 0.041], [0.793, 0.627, 0.655], [0.900, 0.078, 0.769]],
  "total_energy_ev_per_atom": -8.66,
  "delta_e_f_ev_per_fu": -46.64
}